Crystalline K2NaAlH6 at its relaxed geometry, computed with PBE.

The calculated formation energy comes out at -342 meV/atom.

The structure belongs to space group Fm-3m (No. 225); the cell edges are 8.1268, 8.1268 and 8.1268 Å and the angles 90.00°, 90.00° and 90.00°. Symmetry generates all atoms from K at (0.2500, 0.2500, 0.2500), Na at (0.0000, 0.0000, 0.0000), Al at (0.0000, 0.0000, 0.5000) and H at (0.0000, 0.0000, 0.2817).